Density functional theory data (GGA-PBE) for Fe4Te3Se after structural relaxation.

Calculated values
**Formation enthalpy at 0 K**: -161 meV/atom
**Space-group type**: No. 99
**Final energy**: -47.6 eV per cell

abc: 3.626 3.626 13.044
angles: 90.00 90.00 90.00
Positions (direct):
Fe (0.000, 0.500, 0.000)
Fe (0.000, 0.500, 0.495)
Fe (0.500, 0.000, 0.000)
Fe (0.500, 0.000, 0.495)
Te (0.000, 0.000, 0.351)
Te (0.000, 0.000, 0.859)
Te (0.500, 0.500, 0.638)
Se (0.500, 0.500, 0.122)